Compound: MoWSe4
Source: the Materials Project
Functional: GGA-PBE
Structure: relaxed

abc: 3.3232 3.3232 37.8463
angles: 90.00 90.00 120.00
Space group P3m1 (No. 156)
One atom of each set of equivalent atoms:
Mo: 0.0000 0.0000 0.0000
Mo: 0.0000 0.0000 0.3757
W: 0.3333 0.6667 0.1879
W: 0.3333 0.6667 0.5636
Se: 0.0000 0.0000 0.1434
Se: 0.0000 0.0000 0.2324
Se: 0.0000 0.0000 0.5191
Se: 0.0000 0.0000 0.6081
Se: 0.3333 0.6667 0.0443
Se: 0.3333 0.6667 0.3315
Se: 0.3333 0.6667 0.4200
Se: 0.3333 0.6667 0.9557

Calculated values
Formation enthalpy at 0 K: -5.6 eV/f.u.
Offset from the most stable computed form: 125 meV per atom
Total magnetic moment: 0.0 μB per formula unit
Energy with MP2020 corrections: -7.23 eV per atom
Total energy: -6.912 eV/atom